# 1
Cs2NaSbBr6 after structural relaxation. Source: Materials Project, functional PBE-GGA.

Computed properties:
Calculated formation energy   -1643 meV per atom
Volume   38.6 A^3/atom
E   -3.03 eV/atom
SG   Fm-3m

abc: 8.169 8.169 8.169
angles: 60.00 60.00 60.00
Element x y z (fractional)
Cs  0.750  0.750  0.750
Cs  0.250  0.250  0.250
Na  0.500  0.500  0.500
Sb  0.000  0.000  0.000
Br  0.756  0.244  0.244
Br  0.244  0.244  0.756
Br  0.244  0.756  0.756
Br  0.244  0.756  0.244
Br  0.756  0.244  0.756
Br  0.756  0.756  0.244


# 2
Cs2NaTaBr6 after structural relaxation. Source: Materials Project, functional PBE-GGA.

Computed properties:
Calculated formation energy   -1623 meV per atom
Volume   35.2 A^3/atom
E   -3.78 eV/atom
SG   Fm-3m

abc: 7.922 7.922 7.922
angles: 60.00 60.00 60.00
Element x y z (fractional)
Cs  0.750  0.750  0.750
Cs  0.250  0.250  0.250
Na  0.500  0.500  0.500
Ta  0.000  0.000  0.000
Br  0.764  0.236  0.236
Br  0.236  0.236  0.764
Br  0.236  0.764  0.764
Br  0.236  0.764  0.236
Br  0.764  0.236  0.764
Br  0.764  0.764  0.236


# 3
Cs2NaUBr6 after structural relaxation. Source: Materials Project, functional PBE-GGA.

Computed properties:
Calculated formation energy   -1890 meV per atom
Volume   39.9 A^3/atom
E   -3.99 eV/atom
SG   Pa-3

abc: 11.687 11.687 11.687
angles: 90.00 90.00 90.00
Element x y z (fractional)
Cs  0.249  0.249  0.249
Cs  0.751  0.751  0.751
Cs  0.251  0.751  0.749
Cs  0.751  0.749  0.251
Cs  0.749  0.249  0.251
Cs  0.249  0.251  0.749
Cs  0.749  0.251  0.751
Cs  0.251  0.749  0.249
Na  0.500  0.500  0.500
Na  0.000  0.500  0.000
Na  0.500  0.000  0.000
Na  0.000  0.000  0.500
U  0.000  0.000  0.000
U  0.500  0.000  0.500
U  0.000  0.500  0.500
U  0.500  0.500  0.000
Br  0.993  0.247  0.007
Br  0.007  0.753  0.993
Br  0.507  0.753  0.507
Br  0.007  0.747  0.493
Br  0.007  0.993  0.247
Br  0.493  0.247  0.493
Br  0.993  0.253  0.507
Br  0.993  0.007  0.753
Br  0.493  0.253  0.993
Br  0.507  0.507  0.753
Br  0.507  0.747  0.007
Br  0.493  0.493  0.247
Br  0.493  0.007  0.747
Br  0.507  0.993  0.253
Br  0.993  0.493  0.253
Br  0.007  0.507  0.747
Br  0.247  0.007  0.993
Br  0.753  0.993  0.007
Br  0.747  0.493  0.007
Br  0.253  0.507  0.993
Br  0.253  0.993  0.493
Br  0.747  0.007  0.507
Br  0.753  0.507  0.507
Br  0.247  0.493  0.493


# 4
CsNb4Br11 after structural relaxation. Source: Materials Project, functional PBE-GGA.

Computed properties:
Calculated formation energy   -1396 meV per atom
Volume   29.7 A^3/atom
E   -4.74 eV/atom
SG   Pmma

abc: 7.433 7.474 17.089
angles: 90.00 90.00 90.00
Element x y z (fractional)
Cs  0.500  0.491  0.250
Cs  0.500  0.509  0.750
Nb  0.000  0.117  0.639
Nb  0.207  0.000  0.500
Nb  0.793  0.000  0.000
Nb  0.000  0.883  0.361
Nb  0.000  0.883  0.139
Nb  0.793  0.000  0.500
Nb  0.000  0.117  0.861
Nb  0.207  0.000  0.000
Br  0.500  0.872  0.916
Br  0.000  0.793  0.587
Br  0.749  0.307  0.923
Br  0.251  0.307  0.923
Br  0.000  0.604  0.250
Br  0.766  0.011  0.250
Br  0.251  0.693  0.077
Br  0.749  0.693  0.423
Br  0.000  0.207  0.413
Br  0.251  0.307  0.577
Br  0.749  0.307  0.577
Br  0.000  0.396  0.750
Br  0.766  0.989  0.750
Br  0.500  0.872  0.584
Br  0.234  0.989  0.750
Br  0.000  0.207  0.087
Br  0.749  0.693  0.077
Br  0.251  0.693  0.423
Br  0.000  0.793  0.913
Br  0.234  0.011  0.250
Br  0.500  0.128  0.084
Br  0.500  0.128  0.416


# 5
CsPrNb6Br18 after structural relaxation. Source: Materials Project, functional PBE-GGA.

Computed properties:
Calculated formation energy   -1520 meV per atom
Volume   31.2 A^3/atom
E   -4.83 eV/atom
SG   P-31c

abc: 10.008 10.008 18.694
angles: 90.00 90.00 120.00
Element x y z (fractional)
Cs  0.333  0.667  0.750
Cs  0.667  0.333  0.250
Pr  0.667  0.333  0.750
Pr  0.333  0.667  0.250
Nb  0.851  0.038  0.564
Nb  0.149  0.962  0.436
Nb  0.962  0.813  0.564
Nb  0.851  0.813  0.936
Nb  0.038  0.187  0.436
Nb  0.149  0.187  0.064
Nb  0.187  0.149  0.564
Nb  0.962  0.149  0.936
Nb  0.813  0.851  0.436
Nb  0.038  0.851  0.064
Nb  0.187  0.038  0.936
Nb  0.813  0.962  0.064
Br  0.637  0.079  0.659
Br  0.363  0.921  0.341
Br  0.921  0.558  0.659
Br  0.637  0.558  0.841
Br  0.079  0.442  0.341
Br  0.363  0.442  0.159
Br  0.442  0.363  0.659
Br  0.921  0.363  0.841
Br  0.558  0.637  0.341
Br  0.079  0.637  0.159
Br  0.442  0.079  0.841
Br  0.558  0.921  0.159
Br  0.045  0.230  0.658
Br  0.955  0.770  0.342
Br  0.770  0.816  0.658
Br  0.045  0.816  0.842
Br  0.230  0.184  0.342
Br  0.955  0.184  0.158
Br  0.184  0.955  0.658
Br  0.770  0.955  0.842
Br  0.816  0.045  0.342
Br  0.230  0.045  0.158
Br  0.184  0.230  0.842
Br  0.816  0.770  0.158
Br  0.274  0.413  0.501
Br  0.726  0.587  0.499
Br  0.587  0.861  0.501
Br  0.274  0.861  0.999
Br  0.413  0.139  0.499
Br  0.726  0.139  0.001
Br  0.139  0.726  0.501
Br  0.587  0.726  0.999
Br  0.861  0.274  0.499
Br  0.413  0.274  0.001
Br  0.139  0.413  0.999
Br  0.861  0.587  0.001


# 6
CsNb3SBr7 after structural relaxation. Source: Materials Project, functional PBE-GGA.

Computed properties:
Calculated formation energy   -1492 meV per atom
Volume   30.0 A^3/atom
E   -5.04 eV/atom
SG   P2_1/c

abc: 19.572 7.161 10.377
angles: 82.31 90.00 90.00
Element x y z (fractional)
Cs  0.405  0.769  0.885
Cs  0.095  0.269  0.885
Cs  0.905  0.731  0.115
Cs  0.595  0.231  0.115
Nb  0.828  0.135  0.579
Nb  0.672  0.037  0.579
Nb  0.172  0.463  0.421
Nb  0.672  0.635  0.579
Nb  0.330  0.213  0.175
Nb  0.670  0.787  0.825
Nb  0.328  0.365  0.421
Nb  0.170  0.713  0.175
Nb  0.172  0.865  0.421
Nb  0.830  0.287  0.825
Nb  0.828  0.537  0.579
Nb  0.328  0.963  0.421
S  0.762  0.817  0.673
S  0.262  0.683  0.327
S  0.738  0.317  0.673
S  0.238  0.183  0.327
Br  0.750  0.011  0.956
Br  0.414  0.138  0.555
Br  0.750  0.511  0.956
Br  0.079  0.949  0.241
Br  0.599  0.741  0.057
Br  0.420  0.950  0.239
Br  0.901  0.241  0.057
Br  0.750  0.125  0.369
Br  0.250  0.489  0.044
Br  0.401  0.259  0.943
Br  0.086  0.638  0.555
Br  0.579  0.551  0.759
Br  0.250  0.989  0.044
Br  0.921  0.051  0.759
Br  0.586  0.862  0.445
Br  0.914  0.362  0.445
Br  0.099  0.759  0.943
Br  0.250  0.875  0.631
Br  0.920  0.550  0.761
Br  0.101  0.143  0.534
Br  0.580  0.050  0.761
Br  0.750  0.625  0.369
Br  0.421  0.449  0.241
Br  0.899  0.857  0.466
Br  0.601  0.357  0.466
Br  0.250  0.375  0.631
Br  0.399  0.643  0.534
Br  0.080  0.450  0.239


# 7
CsTmNb6Br18 after structural relaxation. Source: Materials Project, functional PBE-GGA.

Computed properties:
Calculated formation energy   -1511 meV per atom
Volume   30.1 A^3/atom
E   -4.81 eV/atom
SG   P-31c

abc: 9.894 9.894 18.474
angles: 90.00 90.00 120.00
Element x y z (fractional)
Cs  0.333  0.667  0.750
Cs  0.667  0.333  0.250
Tm  0.667  0.333  0.750
Tm  0.333  0.667  0.250
Nb  0.850  0.039  0.565
Nb  0.150  0.961  0.435
Nb  0.961  0.811  0.565
Nb  0.850  0.811  0.935
Nb  0.039  0.189  0.435
Nb  0.150  0.189  0.065
Nb  0.189  0.150  0.565
Nb  0.961  0.150  0.935
Nb  0.811  0.850  0.435
Nb  0.039  0.850  0.065
Nb  0.189  0.039  0.935
Nb  0.811  0.961  0.065
Br  0.636  0.087  0.662
Br  0.364  0.913  0.338
Br  0.913  0.549  0.662
Br  0.636  0.549  0.838
Br  0.087  0.451  0.338
Br  0.364  0.451  0.162
Br  0.451  0.364  0.662
Br  0.913  0.364  0.838
Br  0.549  0.636  0.338
Br  0.087  0.636  0.162
Br  0.451  0.087  0.838
Br  0.549  0.913  0.162
Br  0.047  0.234  0.660
Br  0.953  0.766  0.340
Br  0.766  0.813  0.660
Br  0.047  0.813  0.840
Br  0.234  0.187  0.340
Br  0.953  0.187  0.160
Br  0.187  0.953  0.660
Br  0.766  0.953  0.840
Br  0.813  0.047  0.340
Br  0.234  0.047  0.160
Br  0.187  0.234  0.840
Br  0.813  0.766  0.160
Br  0.278  0.418  0.501
Br  0.722  0.582  0.499
Br  0.582  0.860  0.501
Br  0.278  0.860  0.999
Br  0.418  0.140  0.499
Br  0.722  0.140  0.001
Br  0.140  0.722  0.501
Br  0.582  0.722  0.999
Br  0.860  0.278  0.499
Br  0.418  0.278  0.001
Br  0.140  0.418  0.999
Br  0.860  0.582  0.001


# 8
Cs2PbBr6 after structural relaxation. Source: Materials Project, functional PBE-GGA.

Computed properties:
Calculated formation energy   -1480 meV per atom
Volume   40.8 A^3/atom
E   -2.83 eV/atom
SG   Fm-3m

abc: 8.040 8.040 8.040
angles: 60.00 60.00 60.00
Element x y z (fractional)
Cs  0.750  0.750  0.750
Cs  0.250  0.250  0.250
Pb  0.000  0.000  0.000
Br  0.758  0.758  0.242
Br  0.242  0.242  0.758
Br  0.758  0.242  0.758
Br  0.242  0.758  0.242
Br  0.242  0.758  0.758
Br  0.758  0.242  0.242


# 9
Cs2PdBr6 after structural relaxation. Source: Materials Project, functional PBE-GGA.

Computed properties:
Calculated formation energy   -1370 meV per atom
Volume   36.8 A^3/atom
E   -2.88 eV/atom
SG   Fm-3m

abc: 7.768 7.768 7.768
angles: 60.00 60.00 60.00
Element x y z (fractional)
Cs  0.250  0.250  0.250
Cs  0.750  0.750  0.750
Pd  0.000  0.000  0.000
Br  0.770  0.230  0.230
Br  0.230  0.770  0.770
Br  0.230  0.770  0.230
Br  0.770  0.230  0.770
Br  0.230  0.230  0.770
Br  0.770  0.770  0.230


# 10
CsPdBr3 after structural relaxation. Source: Materials Project, functional PBE-GGA.

Computed properties:
Calculated formation energy   -1238 meV per atom
Volume   30.3 A^3/atom
E   -3.12 eV/atom
SG   P1

abc: 5.333 5.333 5.332
angles: 90.02 89.99 90.02
Element x y z (fractional)
Cs  0.999  0.008  0.999
Pd  0.501  0.515  0.505
Br  0.001  0.512  0.503
Br  0.498  0.015  0.499
Br  0.501  0.510  0.004


# 11
CsPdBr3 after structural relaxation. Source: Materials Project, functional PBE-GGA.

Computed properties:
Calculated formation energy   -1238 meV per atom
Volume   30.4 A^3/atom
E   -3.12 eV/atom
SG   Pm-3m

abc: 5.335 5.335 5.335
angles: 90.00 90.00 90.00
Element x y z (fractional)
Cs  0.000  0.000  0.000
Pd  0.500  0.500  0.500
Br  0.000  0.500  0.500
Br  0.500  0.000  0.500
Br  0.500  0.500  0.000


# 12
CsPtBr3 after structural relaxation. Source: Materials Project, functional PBE-GGA.

Computed properties:
Calculated formation energy   -1017 meV per atom
Volume   47.5 A^3/atom
E   -3.07 eV/atom
SG   Pnma

abc: 5.142 11.554 16.003
angles: 90.00 90.00 90.00
Element x y z (fractional)
Cs  0.750  0.257  0.956
Cs  0.250  0.743  0.044
Cs  0.750  0.243  0.456
Cs  0.250  0.757  0.544
Pt  0.250  0.294  0.692
Pt  0.750  0.706  0.308
Pt  0.250  0.206  0.192
Pt  0.750  0.794  0.808
Br  0.250  0.175  0.817
Br  0.750  0.825  0.183
Br  0.250  0.325  0.317
Br  0.750  0.675  0.683
Br  0.250  0.408  0.563
Br  0.750  0.592  0.437
Br  0.250  0.092  0.063
Br  0.750  0.908  0.937
Br  0.750  0.270  0.688
Br  0.250  0.730  0.312
Br  0.750  0.230  0.188
Br  0.250  0.770  0.812


# 13
CsRb2ScBr6 after structural relaxation. Source: Materials Project, functional PBE-GGA.

Computed properties:
Calculated formation energy   -2037 meV per atom
Volume   44.3 A^3/atom
E   -3.62 eV/atom
SG   Fm-3m

abc: 8.554 8.554 8.554
angles: 60.00 60.00 60.00
Element x y z (fractional)
Cs  0.500  0.500  0.500
Rb  0.750  0.750  0.750
Rb  0.250  0.250  0.250
Sc  0.000  0.000  0.000
Br  0.780  0.220  0.220
Br  0.220  0.220  0.780
Br  0.220  0.780  0.780
Br  0.220  0.780  0.220
Br  0.780  0.220  0.780
Br  0.780  0.780  0.220